# 1
Computed, not measured: a geometry-optimized InCuGeSe4 structure at the PBE level of DFT.

```
InCuGeSe4
1.0
-2.946 2.946 5.393
2.946 -2.946 5.393
2.946 2.946 -5.393
In Cu Ge Se
1 1 1 4
Direct
0.000 0.000 0.000
0.500 0.500 0.000
0.750 0.250 0.500
0.129 0.132 0.531
0.402 0.871 0.003
0.601 0.598 0.469
0.868 0.399 0.997
```

Values from the calculation:
- symmetry = I-4, No. 82

---

# 2
Computed, not measured: a geometry-optimized H12OsC4NO4F structure at the PBE level of DFT.

```
H12OsC4NO4F
1.0
7.572 0.000 0.000
0.000 6.134 5.815
0.000 -6.134 5.815
H Os C N O F
24 2 8 2 8 2
Direct
0.009 0.124 0.876
0.009 0.376 0.624
0.062 0.127 0.362
0.062 0.862 0.627
0.155 0.531 0.247
0.155 0.747 0.031
0.188 0.542 0.458
0.188 0.958 0.042
0.200 0.249 0.241
0.200 0.741 0.749
0.229 0.255 0.451
0.229 0.951 0.755
0.771 0.451 0.255
0.771 0.755 0.951
0.800 0.241 0.249
0.800 0.749 0.741
0.812 0.042 0.958
0.812 0.458 0.542
0.845 0.031 0.747
0.845 0.247 0.531
0.938 0.362 0.127
0.938 0.627 0.862
0.991 0.624 0.376
0.991 0.876 0.124
0.442 0.397 0.897
0.558 0.897 0.397
0.090 0.530 0.363
0.090 0.863 0.030
0.133 0.240 0.355
0.133 0.855 0.740
0.867 0.355 0.240
0.867 0.740 0.855
0.910 0.030 0.863
0.910 0.363 0.530
0.000 0.372 0.372
0.000 0.872 0.872
0.328 0.909 0.409
0.399 0.343 0.089
0.399 0.589 0.843
0.417 0.248 0.748
0.583 0.748 0.248
0.601 0.089 0.343
0.601 0.843 0.589
0.672 0.409 0.909
0.159 0.393 0.893
0.841 0.893 0.393
```

Values from the calculation:
- symmetry = Aem2, No. 39

---

# 3
Computed, not measured: a geometry-optimized CsSmCl3 structure at the PBE level of DFT.

```
CsSmCl3
1.0
5.500 0.000 0.000
0.000 5.500 0.000
0.000 0.000 5.500
Cs Sm Cl
1 1 3
Direct
0.000 0.000 0.000
0.500 0.500 0.500
0.000 0.500 0.500
0.500 0.000 0.500
0.500 0.500 0.000
```

Values from the calculation:
- symmetry = Pm-3m, No. 221

---

# 4
Computed, not measured: a geometry-optimized LiTa3O8 structure at the PBE level of DFT.

```
LiTa3O8
1.0
7.782 0.000 0.000
0.000 8.999 0.000
0.000 0.000 16.983
Li Ta O
8 24 64
Direct
0.000 0.031 0.000
0.000 0.419 0.415
0.000 0.422 0.095
0.000 0.818 0.756
0.500 0.182 0.256
0.500 0.578 0.595
0.500 0.581 0.915
0.500 0.969 0.500
0.244 0.106 0.375
0.248 0.186 0.755
0.248 0.688 0.445
0.249 0.105 0.135
0.249 0.449 0.254
0.249 0.692 0.065
0.251 0.308 0.565
0.251 0.551 0.754
0.251 0.895 0.635
0.252 0.312 0.945
0.252 0.814 0.255
0.256 0.894 0.875
0.744 0.894 0.875
0.748 0.312 0.945
0.748 0.814 0.255
0.749 0.308 0.565
0.749 0.551 0.754
0.749 0.895 0.635
0.751 0.105 0.135
0.751 0.449 0.254
0.751 0.692 0.065
0.752 0.186 0.755
0.752 0.688 0.445
0.756 0.106 0.375
0.000 0.083 0.112
0.000 0.090 0.393
0.000 0.173 0.755
0.000 0.298 0.961
0.000 0.308 0.546
0.000 0.483 0.255
0.000 0.599 0.754
0.000 0.652 0.431
0.000 0.653 0.079
0.000 0.803 0.255
0.000 0.882 0.650
0.000 0.889 0.861
0.206 0.843 0.985
0.209 0.310 0.168
0.213 0.313 0.343
0.221 0.837 0.526
0.224 0.376 0.830
0.225 0.376 0.679
0.235 0.049 0.255
0.244 0.119 0.637
0.245 0.119 0.874
0.247 0.501 0.004
0.253 0.499 0.504
0.255 0.881 0.374
0.256 0.881 0.137
0.265 0.951 0.755
0.275 0.624 0.179
0.276 0.624 0.330
0.279 0.163 0.026
0.287 0.687 0.843
0.291 0.690 0.668
0.294 0.157 0.485
0.500 0.111 0.361
0.500 0.118 0.150
0.500 0.197 0.755
0.500 0.347 0.579
0.500 0.348 0.931
0.500 0.401 0.254
0.500 0.517 0.755
0.500 0.692 0.046
0.500 0.702 0.461
0.500 0.827 0.255
0.500 0.910 0.893
0.500 0.917 0.612
0.706 0.157 0.485
0.709 0.690 0.668
0.713 0.687 0.843
0.721 0.163 0.026
0.724 0.624 0.330
0.725 0.624 0.179
0.735 0.951 0.755
0.744 0.881 0.137
0.745 0.881 0.374
0.747 0.499 0.504
0.753 0.501 0.004
0.755 0.119 0.874
0.756 0.119 0.637
0.765 0.049 0.255
0.775 0.376 0.679
0.776 0.376 0.830
0.779 0.837 0.526
0.787 0.313 0.343
0.791 0.310 0.168
0.794 0.843 0.985
```

Values from the calculation:
- symmetry = Pmn2_1, No. 31
- polymorph energy (0 for the lowest one) (meV per atom) = 21.8

---

| no. | formation enthalpy at 0 K (eV/atom) |
| --- | --- |
| 1 | -0.630 |
| 2 | -0.595 |
| 3 | -2.289 |
| 4 | -3.232 |